# 1
First-principles (r²SCAN) data for crystalline AgAuF7 at its relaxed geometry, as listed in the Materials Project.

Cell and atoms, written as POSCAR:
```
AgAuF7
1.0
7.097 0.000 0.000
0.000 7.748 0.000
0.000 0.000 10.095
Ag F Au
4 28 4
Direct
0.750 0.367 0.758
0.250 0.633 0.242
0.250 0.133 0.258
0.750 0.867 0.742
0.062 0.382 0.819
0.566 0.773 0.929
0.562 0.118 0.319
0.934 0.773 0.929
0.934 0.273 0.571
0.938 0.618 0.181
0.250 0.033 0.475
0.750 0.967 0.525
0.750 0.417 0.364
0.250 0.886 0.197
0.062 0.882 0.681
0.750 0.614 0.697
0.438 0.382 0.819
0.750 0.467 0.975
0.566 0.273 0.571
0.250 0.533 0.025
0.562 0.618 0.181
0.066 0.727 0.429
0.434 0.227 0.071
0.434 0.727 0.429
0.438 0.882 0.681
0.066 0.227 0.071
0.250 0.583 0.636
0.250 0.083 0.864
0.938 0.118 0.319
0.750 0.917 0.136
0.750 0.114 0.803
0.250 0.386 0.303
0.750 0.695 0.056
0.250 0.305 0.944
0.750 0.195 0.444
0.250 0.805 0.556
```

As for the space group: Pnma, No. 62. The volume comes out at 555.1 Å³ per cell. The value obtained for the total energy is -11.514 eV/atom.

=====

# 2
First-principles (r²SCAN) data for crystalline La5Pb3Se at its relaxed geometry, as listed in the Materials Project.

Cell and atoms, written as POSCAR:
```
La5Pb3Se
1.0
6.877 2.728 6.288
-9.179 -1.036 2.992
1.301 -6.938 1.588
La Pb Se
10 6 2
Direct
0.333 0.667 0.000
0.750 0.750 0.750
0.667 0.333 0.500
0.000 0.250 0.750
0.333 0.667 0.500
0.000 0.750 0.250
0.750 0.000 0.250
0.667 0.333 0.000
0.250 0.000 0.750
0.250 0.250 0.250
0.606 0.000 0.750
0.606 0.606 0.250
0.394 0.394 0.750
0.394 0.000 0.250
0.000 0.606 0.750
0.000 0.394 0.250
0.000 0.000 0.500
0.000 0.000 0.000
```

As for the space group: P6_3/mcm, No. 193. The volume comes out at 590.8 Å³ per cell. The value obtained for the total energy is -38.056 eV/atom.

=====

# 3
First-principles (r²SCAN) data for crystalline MgB2 at its relaxed geometry, as listed in the Materials Project.

Cell and atoms, written as POSCAR:
```
MgB2
1.0
3.063 0.000 0.000
-1.531 2.652 0.000
0.000 0.000 3.521
B Mg
2 1
Direct
0.333 0.667 0.500
0.667 0.333 0.500
0.000 0.000 0.000
```

As for the space group: P6/mmm, No. 191. The volume comes out at 28.6 Å³ per cell. The value obtained for the total energy is -6.463 eV/atom.